*one*
A plane-wave DFT calculation with GGA-PBE was carried out for crystalline AlSeO10 at its relaxed geometry.

abc: 8.5363 9.8535 11.7727
angles: 90.00 131.49 90.00
Last column: nearest neighbours and their distance in Å.
Fractional coordinates of all 48 atoms:
1 Al 0.0055 0.0315 0.1418  5 O 1.84-2.05
2 Al 0.0055 0.4685 0.6418  5 O 1.84-2.05
3 Al 0.9945 0.5315 0.3582  5 O 1.84-2.05
4 Al 0.9945 0.9685 0.8582  5 O 1.84-2.05
5 Se 0.3377 0.6528 0.2145  2 O 1.64
6 Se 0.3377 0.8472 0.7145  2 O 1.64
7 Se 0.6623 0.1528 0.2855  2 O 1.64
8 Se 0.6623 0.3472 0.7855  2 O 1.64
9 O 0.0074 0.0826 0.9923  1 O 1.65, 1 Al 1.84
10 O 0.0074 0.4174 0.4923  1 O 1.65, 1 Al 1.84
11 O 0.0141 0.5886 0.7697  1 O 1.37
12 O 0.0141 0.9114 0.2697  1 O 1.37
13 O 0.0193 0.1842 0.2419  1 O 1.39
14 O 0.0193 0.3158 0.7419  1 O 1.39
15 O 0.0953 0.6733 0.0546  1 Se 1.64
16 O 0.0953 0.8267 0.5546  1 Se 1.64
17 O 0.1194 0.1932 0.7676  2 O 1.37-1.39
18 O 0.1194 0.3068 0.2676  2 O 1.37-1.39
19 O 0.3120 0.5389 0.4870  1 O 1.27
20 O 0.3120 0.9611 0.9870  1 O 1.27
21 O 0.3285 0.0046 0.3297  1 O 1.26
22 O 0.3285 0.4954 0.8297  1 O 1.26
23 O 0.4030 0.6337 0.4761  1 O 1.27
24 O 0.4030 0.8663 0.9761  1 O 1.27
25 O 0.4760 0.7070 0.7721  1 Se 1.64
26 O 0.4760 0.7930 0.2721  1 Se 1.64
27 O 0.4852 0.0800 0.3905  1 O 1.26
28 O 0.4852 0.4200 0.8905  1 O 1.26
29 O 0.5148 0.5800 0.1095  1 O 1.26
30 O 0.5148 0.9200 0.6095  1 O 1.26
31 O 0.5240 0.2070 0.7279  1 Se 1.64
32 O 0.5240 0.2930 0.2279  1 Se 1.64
33 O 0.5970 0.1337 0.0239  1 O 1.27
34 O 0.5970 0.3663 0.5239  1 O 1.27
35 O 0.6715 0.5046 0.1703  1 O 1.26
36 O 0.6715 0.9954 0.6703  1 O 1.26
37 O 0.6880 0.0389 0.0130  1 O 1.27
38 O 0.6880 0.4611 0.5130  1 O 1.27
39 O 0.8806 0.6932 0.7324  2 O 1.37-1.39
40 O 0.8806 0.8068 0.2324  2 O 1.37-1.39
41 O 0.9047 0.1733 0.4454  1 Se 1.64
42 O 0.9047 0.3267 0.9454  1 Se 1.64
43 O 0.9807 0.6842 0.2581  1 O 1.39
44 O 0.9807 0.8158 0.7581  1 O 1.39
45 O 0.9859 0.0886 0.7303  1 O 1.37
46 O 0.9859 0.4114 0.2303  1 O 1.37
47 O 0.9926 0.5826 0.5077  1 O 1.65, 1 Al 1.84
48 O 0.9926 0.9174 0.0077  1 O 1.65, 1 Al 1.84

Calculated density   2.4 g/cm3

***

*two*
A plane-wave DFT calculation with GGA-PBE was carried out for crystalline AlSeO10 at its relaxed geometry.

abc: 7.6863 11.7844 11.2993
angles: 90.00 127.79 90.00
Last column: nearest neighbours and their distance in Å.
Fractional coordinates of all 48 atoms:
1 Al 0.1247 0.0726 0.1228  3 O 1.70-1.79
2 Al 0.1247 0.4274 0.6228  3 O 1.70-1.79
3 Al 0.8753 0.5726 0.3772  3 O 1.70-1.79
4 Al 0.8753 0.9274 0.8772  3 O 1.70-1.79
5 Se 0.4025 0.7079 0.2644  4 O 1.64-1.74
6 Se 0.4025 0.7921 0.7644  4 O 1.64-1.74
7 Se 0.5975 0.2079 0.2356  4 O 1.64-1.74
8 Se 0.5975 0.2921 0.7356  4 O 1.64-1.74
9 O 0.0328 0.2359 0.1853  1 O 1.24
10 O 0.0328 0.2641 0.6853  1 O 1.24
11 O 0.0430 0.0226 0.2535  1 O 1.26
12 O 0.0433 0.1721 0.6372  1 O 1.24
13 O 0.0433 0.3279 0.1372  1 O 1.24
14 O 0.0430 0.4774 0.7535  1 O 1.26
15 O 0.1239 0.5681 0.5636  2 Al 1.78-1.79
16 O 0.1239 0.9319 0.0636  2 Al 1.78-1.79
17 O 0.1264 0.0378 0.8054  1 O 1.26
18 O 0.1264 0.4622 0.3054  1 O 1.26
19 O 0.1926 0.6327 0.1260  1 Se 1.66
20 O 0.1926 0.8673 0.6260  1 Se 1.66
21 O 0.3587 0.1485 0.1949  1 Al 1.70, 1 Se 1.74
22 O 0.3587 0.3515 0.6949  1 Al 1.70, 1 Se 1.74
23 O 0.4195 0.6610 0.7095  1 Se 1.70
24 O 0.4195 0.8390 0.2095  1 Se 1.70
25 O 0.4287 0.7058 0.4199  1 Se 1.64
26 O 0.4287 0.7942 0.9199  1 Se 1.64
27 O 0.4798 0.0461 0.4685  1 O 1.23
28 O 0.4798 0.4539 0.9685  1 O 1.23
29 O 0.5202 0.5461 0.0315  1 O 1.23
30 O 0.5202 0.9539 0.5315  1 O 1.23
31 O 0.5713 0.2058 0.0801  1 Se 1.64
32 O 0.5713 0.2942 0.5801  1 Se 1.64
33 O 0.5805 0.1610 0.7905  1 Se 1.70
34 O 0.5805 0.3390 0.2905  1 Se 1.70
35 O 0.6413 0.6485 0.3051  1 Al 1.70, 1 Se 1.74
36 O 0.6413 0.8515 0.8051  1 Al 1.70, 1 Se 1.74
37 O 0.8074 0.1327 0.3740  1 Se 1.66
38 O 0.8074 0.3673 0.8740  1 Se 1.66
39 O 0.8736 0.5378 0.6946  1 O 1.26
40 O 0.8736 0.9622 0.1946  1 O 1.26
41 O 0.8761 0.0681 0.9364  2 Al 1.78-1.79
42 O 0.8761 0.4319 0.4364  2 Al 1.78-1.79
43 O 0.9570 0.5226 0.2465  1 O 1.26
44 O 0.9567 0.6721 0.8628  1 O 1.24
45 O 0.9567 0.8279 0.3628  1 O 1.24
46 O 0.9570 0.9774 0.7465  1 O 1.26
47 O 0.9672 0.7359 0.3147  1 O 1.24
48 O 0.9672 0.7641 0.8147  1 O 1.24

Calculated density   2.2 g/cm3

***

Stability, highest: *two*

***

*one*
A plane-wave DFT calculation with GGA-PBE was carried out for crystalline Al2Si2O9 at its relaxed geometry.

abc: 5.2534 5.2534 14.8947
angles: 94.42 94.42 120.17
Last column: nearest neighbours and their distance in Å.
Fractional coordinates of all 26 atoms:
1 Al 0.0890 0.9110 0.5000  6 O 1.88-1.98
2 Al 0.4501 0.6352 0.5004  6 O 1.88-1.99
3 Al 0.6352 0.4501 0.0004  6 O 1.88-1.99
4 Al 0.9110 0.0890 0.0000  6 O 1.88-1.98
5 Si 0.0246 0.8700 0.1878  4 O 1.61-1.66
6 Si 0.2130 0.7094 0.6888  4 O 1.61-1.65
7 Si 0.7094 0.2130 0.1888  4 O 1.61-1.65
8 Si 0.8700 0.0246 0.6878  4 O 1.61-1.66
9 O 0.0527 0.3789 0.7163  2 Si 1.61
10 O 0.0631 0.8885 0.7307  2 Si 1.62-1.63
11 O 0.1244 0.2440 0.4372  2 Al 1.98-1.99, 1 O 2.06
12 O 0.1923 0.6948 0.5769  1 Si 1.65
13 O 0.2440 0.1244 0.9372  2 Al 1.98-1.99, 1 O 2.06
14 O 0.2959 0.4102 0.0492  2 Al 1.90, 1 O 2.06
15 O 0.3417 0.8538 0.4283  2 Al 1.88-1.89
16 O 0.3789 0.0527 0.2163  2 Si 1.61
17 O 0.4102 0.2959 0.5492  2 Al 1.90, 1 O 2.06
18 O 0.5610 0.8874 0.7305  2 Si 1.62
19 O 0.6215 0.7277 0.9305  2 Al 1.88
20 O 0.6948 0.1923 0.0769  1 Si 1.65
21 O 0.7277 0.6215 0.4305  2 Al 1.88
22 O 0.8085 0.9280 0.5763  1 Si 1.66
23 O 0.8538 0.3417 0.9283  2 Al 1.88-1.89
24 O 0.8874 0.5610 0.2305  2 Si 1.62
25 O 0.8885 0.0631 0.2307  2 Si 1.62-1.63
26 O 0.9280 0.8085 0.0763  1 Si 1.66

Calculated density   2.4 g/cm3

***

*two*
A plane-wave DFT calculation with GGA-PBE was carried out for crystalline Al2Si2O9 at its relaxed geometry.

abc: 5.3151 7.9107 9.0936
angles: 87.86 89.70 74.99
Last column: nearest neighbours and their distance in Å.
Fractional coordinates of all 26 atoms:
1 Al 0.0000 0.0000 0.0000  5 O 1.81-1.98
2 Al 0.0254 0.9814 0.3103  6 O 1.79-1.99
3 Al 0.4294 0.0114 0.4832  5 O 1.77-1.95
4 Al 0.4825 0.0145 0.8390  6 O 1.81-2.02
5 Si 0.1861 0.3657 0.3232  4 O 1.61-1.66
6 Si 0.2203 0.3497 0.6571  4 O 1.62-1.70
7 Si 0.7008 0.3487 0.8322  4 O 1.62-1.66
8 Si 0.7057 0.3572 0.1587  4 O 1.63-1.65
9 O 0.1515 0.8587 0.1531  2 Al 1.79-1.81
10 O 0.2055 0.4316 0.4901  2 Si 1.62-1.64
11 O 0.2232 0.9005 0.8500  2 Al 1.83-1.86
12 O 0.2280 0.8666 0.4690  2 Al 1.77-1.87
13 O 0.2333 0.1508 0.3425  1 Si 1.66, 1 Al 1.80
14 O 0.2470 0.1233 0.9723  2 Al 1.81-1.84
15 O 0.3608 0.1311 0.6537  1 Si 1.70, 1 Al 1.83
16 O 0.4115 0.4145 0.2236  2 Si 1.61-1.63
17 O 0.4158 0.4289 0.7542  2 Si 1.62-1.64
18 O 0.7067 0.4357 0.9898  2 Si 1.62-1.64
19 O 0.7322 0.8946 0.3931  1 O 1.51
20 O 0.7363 0.1360 0.8639  1 Si 1.66
21 O 0.7547 0.8070 0.7971  1 O 1.37
22 O 0.7562 0.8261 0.9465  1 O 1.37
23 O 0.7717 0.0565 0.4619  1 O 1.51
24 O 0.8195 0.1417 0.1629  1 Si 1.65
25 O 0.8958 0.4442 0.2557  2 Si 1.62-1.64
26 O 0.9296 0.3851 0.7249  2 Si 1.62-1.63

Calculated density   2.3 g/cm3

***

Stability, highest: *one*